## 1
Entry from the Materials Project: crystalline TiZnF5 at its relaxed geometry (GGA-PBE).

Geometry as POSCAR:
```
TiZnF5
1.0
-1.4981 -4.4287 8.7810
4.7099 -2.4361 -0.4251
5.4362 4.2935 3.0929
Ti Zn F
4 4 20
direct
0.7544 0.0903 0.6056
0.2544 0.9097 0.8944
0.2456 0.9097 0.3944
0.7456 0.0903 0.1056
0.0016 0.5070 0.7506
0.5016 0.4930 0.7494
0.9984 0.4930 0.2494
0.4984 0.5070 0.2506
0.8873 0.3876 0.5701
0.3873 0.6124 0.9299
0.1127 0.6124 0.4299
0.6127 0.3876 0.0701
0.6082 0.3446 0.4965
0.1082 0.6554 0.0035
0.3918 0.6554 0.5035
0.8918 0.3446 0.9965
0.4037 0.1561 0.7998
0.9037 0.8439 0.7002
0.5963 0.8439 0.2002
0.0963 0.1561 0.2998
0.1374 0.2296 0.8403
0.6374 0.7704 0.6597
0.8626 0.7704 0.1597
0.3626 0.2296 0.3403
0.6912 0.1433 0.8410
0.1912 0.8567 0.6590
0.3088 0.8567 0.1590
0.8088 0.1433 0.3410
```

---

## 2
Entry from the Materials Project: crystalline TiZnF5 at its relaxed geometry (GGA-PBE).

Geometry as POSCAR:
```
TiZnF5
1.0
3.2092 4.3454 0.0000
-3.2092 4.3454 0.0000
0.0000 3.2832 6.8012
Ti Zn F
2 2 10
direct
0.0000 0.0000 0.0000
0.0000 0.0000 0.5000
0.5212 0.4788 0.7500
0.4788 0.5212 0.2500
0.1246 0.8754 0.2500
0.8754 0.1246 0.7500
0.2199 0.2683 0.3725
0.7317 0.7801 0.1275
0.7053 0.3179 0.0450
0.6821 0.2947 0.4550
0.2947 0.6821 0.9550
0.3179 0.7053 0.5450
0.2683 0.2199 0.8725
0.7801 0.7317 0.6275
```

---

If you had to bet on the most stable structure above, which would it be? Bet on 2.